# 1
Here is an optimized crystal structure of Ca2H6Os from the Materials Project. Energies are from PBE-GGA.

Cell and atoms, written as extended XYZ:
```
9
Lattice="0.0000 3.6253 3.6253 3.6253 0.0000 3.6253 3.6253 3.6253 0.0000" Properties=species:S:1:pos:R:3 pbc="T T T"
Ca 1.8126 1.8126 1.8126
Ca 5.4379 5.4379 5.4379
H 3.6253 3.6253 1.7250
H 3.6253 1.7250 3.6253
H 5.5255 3.6253 3.6253
H 1.7250 3.6253 3.6253
H 3.6253 5.5255 3.6253
H 3.6253 3.6253 5.5255
Os 0.0000 0.0000 0.0000
```

Computed properties:
* formation energy from the elements: -594 meV/atom
* total energy: -40.945 eV/cell
* space group: No. 225

***

# 2
Here is an optimized crystal structure of SrZn5 from the Materials Project. Energies are from PBE-GGA.

Cell and atoms, written as extended XYZ:
```
6
Lattice="5.5982 0.0000 0.0000 -2.7991 4.8482 0.0000 0.0000 0.0000 4.2370" Properties=species:S:1:pos:R:3 pbc="T T T"
Sr 0.0000 0.0000 0.0000
Zn -1.3995 2.4241 2.1185
Zn 0.0000 3.2321 0.0000
Zn 2.7991 0.0000 2.1185
Zn 1.3995 2.4241 2.1185
Zn 2.7991 1.6161 0.0000
```

Computed properties:
* formation energy from the elements: -215 meV/atom
* total energy: -9.280 eV/cell
* space group: No. 191

***

# 3
Here is an optimized crystal structure of IrSe3 from the Materials Project. Energies are from PBE-GGA.

Cell and atoms, written as extended XYZ:
```
28
Lattice="6.0096 0.0000 0.0000 0.0296 6.0570 0.0000 0.0309 0.6246 17.9656" Properties=species:S:1:pos:R:3 pbc="T T T"
Ir 0.0000 0.0000 0.0000
Ir 0.0633 6.3608 12.0398
Ir 0.0678 6.1028 6.0149
Ir 3.0297 6.1456 9.0222
Ir 3.0553 3.0784 6.0235
Ir 3.0971 6.0940 3.0324
Ir 3.2192 6.5008 14.9928
Se 0.7202 0.8183 8.2956
Se 0.7629 3.7625 6.7674
Se 0.7640 0.6912 2.2484
Se 0.9674 6.4122 14.2974
Se 2.2575 3.8639 9.6780
Se 2.3227 0.9067 11.2764
Se 2.3175 0.7894 5.2983
Se 2.3405 1.2047 17.2379
Se 2.3919 3.7369 3.6479
Se 3.7155 2.4431 8.4015
Se 3.7985 5.3654 6.7486
Se 3.7982 5.3178 0.7865
Se 3.8130 2.3166 2.3390
Se 3.8575 5.5994 12.7995
Se 4.2756 2.5617 14.7290
Se 5.2942 5.5497 15.9735
Se 5.3158 2.5911 12.4809
Se 5.3448 5.5845 9.8461
Se 5.3377 2.3837 5.2530
Se 5.3917 5.3540 3.7157
Se 5.5792 2.8076 16.9264
```

Computed properties:
* formation energy from the elements: -522 meV/atom
* total energy: -139.974 eV/cell
* space group: No. 1

***

# 4
Here is an optimized crystal structure of CaMgP2Se6 from the Materials Project. Energies are from PBE-GGA.

Cell and atoms, written as extended XYZ:
```
10
Lattice="3.3190 1.9162 7.2417 -3.3190 1.9162 7.2417 0.0000 -3.8325 7.2417" Properties=species:S:1:pos:R:3 pbc="T T T"
Ca 0.0000 0.0000 0.0000
Mg 0.0000 0.0000 7.3156
P 0.0000 0.0000 13.3837
P 0.0000 0.0000 15.6503
Se -1.2037 -1.7722 9.0654
Se -2.1146 0.2061 12.7408
Se -0.9329 1.9285 9.0654
Se 0.8788 -1.9344 12.7408
Se 2.1366 -0.1563 9.0654
Se 1.2358 1.7283 12.7408
```

Computed properties:
* formation energy from the elements: -1016 meV/atom
* total energy: -42.737 eV/cell
* space group: No. 146

***

# 5
Here is an optimized crystal structure of Li2AgF3 from the Materials Project. Energies are from PBE-GGA.

Cell and atoms, written as extended XYZ:
```
12
Lattice="2.6339 -5.3281 0.0000 2.6339 5.3281 0.0000 -1.6306 0.0000 5.0301" Properties=species:S:1:pos:R:3 pbc="T T T"
Li 1.4109 3.7656 3.7726
Li 2.2263 2.7338 1.2575
Li 1.4109 -2.7338 3.7726
Li 2.2263 -3.7656 1.2575
Ag 1.4109 0.6288 3.7726
Ag 2.2263 -0.6288 1.2575
F 0.5016 2.6641 2.5150
F 1.1270 1.3027 0.1894
F 0.3116 -1.3027 2.7044
F 1.3170 -2.6641 0.0000
F 3.3256 1.3027 2.3257
F 2.5102 -1.3027 4.8407
```

Computed properties:
* excess energy over the best structure of this formula in the dataset: 3.93 kJ per mole of atoms
* formation energy from the elements: -2444 meV/atom
* total energy: -51.342 eV/cell
* space group: No. 15

***

# 6
Here is an optimized crystal structure of SnRh2 from the Materials Project. Energies are from PBE-GGA.

Cell and atoms, written as extended XYZ:
```
12
Lattice="5.6017 0.0000 0.0000 0.0000 4.3126 0.0000 0.0000 0.0000 8.1144" Properties=species:S:1:pos:R:3 pbc="T T T"
Sn 1.0971 1.0781 0.8352
Sn 1.7038 3.2344 4.8924
Sn 3.8980 1.0781 3.2221
Sn 4.5046 3.2344 7.2793
Rh 0.2271 1.0781 6.3042
Rh 0.9738 1.0781 3.5129
Rh 1.8271 3.2344 7.5701
Rh 2.5737 3.2344 2.2470
Rh 3.0280 1.0781 5.8674
Rh 3.7746 1.0781 0.5443
Rh 4.6280 3.2344 4.6015
Rh 5.3746 3.2344 1.8102
```

Computed properties:
* formation energy from the elements: -363 meV/atom
* total energy: -79.304 eV/cell
* space group: No. 62

***

# 7
Here is an optimized crystal structure of Li4Bi3O8 from the Materials Project. Energies are from PBE-GGA.

Cell and atoms, written as extended XYZ:
```
30
Lattice="6.5606 0.0000 0.0000 0.0000 4.2521 0.0000 -0.1980 0.0000 14.0716" Properties=species:S:1:pos:R:3 pbc="T T T"
Li 0.1914 1.0630 2.4766
Li 1.1400 1.0630 12.5981
Li 2.4556 1.0630 6.4613
Li 2.5342 3.1891 11.5007
Li 3.8284 1.0630 2.5709
Li 3.9070 3.1891 7.6102
Li 5.2226 3.1891 1.4734
Li 6.1711 3.1891 11.5949
Bi 0.8997 3.1891 8.2402
Bi 1.9780 3.1891 4.3070
Bi 2.0434 3.1891 0.7244
Bi 4.3192 1.0630 13.3471
Bi 4.3846 1.0630 9.7646
Bi 5.4629 1.0630 5.8314
O 0.5324 3.1891 2.1804
O 0.5802 1.0630 7.7191
O 0.7262 1.0630 4.4024
O 1.0504 3.1891 12.8724
O 2.2769 3.1891 6.5325
O 2.4177 1.0630 0.4748
O 2.7057 3.1891 9.4919
O 2.9484 1.0630 11.7040
O 3.4142 3.1891 2.3675
O 3.6569 1.0630 4.5796
O 3.9449 3.1891 13.5968
O 4.0857 1.0630 7.5391
O 5.3121 1.0630 1.1991
O 5.6364 3.1891 9.6691
O 5.7823 3.1891 6.3525
O 5.8302 1.0630 11.8912
```

Computed properties:
* formation energy from the elements: -1741 meV/atom
* total energy: -159.003 eV/cell
* space group: No. 11

***

# 8
Here is an optimized crystal structure of NaSbP2S6 from the Materials Project. Energies are from PBE-GGA.

Cell and atoms, written as extended XYZ:
```
20
Lattice="6.6430 0.0000 0.0000 0.0000 7.7028 0.0000 -0.5676 0.0000 9.5870" Properties=species:S:1:pos:R:3 pbc="T T T"
Na 1.3064 0.0000 0.0698
Na 4.7690 3.8514 9.5172
Sb 1.8001 5.5272 4.6382
Sb 4.2752 1.6757 4.9488
P 1.0804 2.3159 3.0552
P 1.9256 3.9759 1.7816
P 4.1498 0.1245 7.8054
P 4.9950 6.1673 6.5318
S 0.0144 5.4461 7.3737
S 0.4999 5.4096 1.9175
S 0.7561 3.1974 4.9229
S 2.4248 3.2126 0.0355
S 2.5301 0.8407 3.1347
S 2.5662 0.7212 6.6004
S 3.5092 4.5727 2.9866
S 3.5452 4.6921 6.4523
S 3.6506 7.0641 9.5515
S 5.3192 7.0488 4.6641
S 5.5755 1.5582 7.6695
S 6.0610 1.5947 2.2133
```

Computed properties:
* excess energy over the best structure of this formula in the dataset: 0.69 kJ per mole of atoms
* formation energy from the elements: -721 meV/atom
* total energy: -90.568 eV/cell
* space group: No. 4

***

# 9
Here is an optimized crystal structure of CsAcTe2 from the Materials Project. Energies are from PBE-GGA.

Cell and atoms, written as extended XYZ:
```
16
Lattice="8.4534 0.0000 0.0000 0.0000 8.4534 0.0000 0.0000 0.0000 8.4534" Properties=species:S:1:pos:R:3 pbc="T T T"
Cs 0.0000 0.0000 0.0000
Cs 0.0000 4.2267 4.2267
Cs 4.2267 0.0000 4.2267
Cs 4.2267 4.2267 0.0000
Ac 0.0000 0.0000 4.2267
Ac 0.0000 4.2267 0.0000
Ac 4.2267 0.0000 0.0000
Ac 4.2267 4.2267 4.2267
Te 2.1133 2.1133 2.1133
Te 2.1133 2.1133 6.3400
Te 2.1133 6.3400 2.1133
Te 2.1133 6.3400 6.3400
Te 6.3400 2.1133 2.1133
Te 6.3400 2.1133 6.3400
Te 6.3400 6.3400 2.1133
Te 6.3400 6.3400 6.3400
```

Computed properties:
* formation energy from the elements: -1388 meV/atom
* total energy: -64.041 eV/cell
* space group: No. 225

***

# 10
Here is an optimized crystal structure of Al3Si3Ag4IO12 from the Materials Project. Energies are from PBE-GGA.

Cell and atoms, written as extended XYZ:
```
46
Lattice="9.0729 0.0000 0.0000 0.0000 9.0729 0.0000 0.0000 0.0000 9.0729" Properties=species:S:1:pos:R:3 pbc="T T T"
Al 0.0000 2.2682 4.5364
Al 0.0000 6.8047 4.5364
Al 2.2682 4.5364 0.0000
Al 4.5364 0.0000 2.2682
Al 4.5364 0.0000 6.8047
Al 6.8047 4.5364 0.0000
Si 0.0000 4.5364 2.2682
Si 0.0000 4.5364 6.8047
Si 2.2682 0.0000 4.5364
Si 4.5364 2.2682 0.0000
Si 4.5364 6.8047 0.0000
Si 6.8047 0.0000 4.5364
Ag 1.5891 1.5891 1.5891
Ag 1.5891 7.4837 7.4837
Ag 2.9473 2.9473 6.1256
Ag 2.9473 6.1256 2.9473
Ag 6.1256 2.9473 2.9473
Ag 6.1256 6.1256 6.1256
Ag 7.4837 1.5891 7.4837
Ag 7.4837 7.4837 1.5891
I 0.0000 0.0000 0.0000
I 4.5364 4.5364 4.5364
O 0.5178 3.2796 5.8865
O 0.5178 5.7933 3.1864
O 1.2569 4.0186 1.3501
O 1.2569 5.0542 7.7228
O 1.3501 1.2569 4.0186
O 1.3501 7.8160 5.0542
O 3.1864 0.5178 5.7933
O 3.1864 8.5551 3.2796
O 3.2796 3.1864 8.5551
O 3.2796 5.8865 0.5178
O 4.0186 1.3501 1.2569
O 4.0186 7.7228 7.8160
O 5.0542 1.3501 7.8160
O 5.0542 7.7228 1.2569
O 5.7933 3.1864 0.5178
O 5.7933 5.8865 8.5551
O 5.8865 0.5178 3.2796
O 5.8865 8.5551 5.7933
O 7.7228 1.2569 5.0542
O 7.7228 7.8160 4.0186
O 7.8160 4.0186 7.7228
O 7.8160 5.0542 1.3501
O 8.5551 3.2796 3.1864
O 8.5551 5.7933 5.8865
```

Computed properties:
* formation energy from the elements: -2515 meV/atom
* total energy: -298.681 eV/cell
* space group: No. 218

***

# 11
Here is an optimized crystal structure of MgO from the Materials Project. Energies are from PBE-GGA.

Cell and atoms, written as extended XYZ:
```
80
Lattice="9.7594 0.0000 0.0000 -0.1747 9.7933 0.0000 -0.2596 -0.2884 10.0612" Properties=species:S:1:pos:R:3 pbc="T T T"
Mg 0.0000 0.0000 0.0000
Mg -0.0649 1.6269 3.6642
Mg -0.1612 5.4048 6.7118
Mg 0.0121 1.0182 7.5265
Mg 0.1720 4.2157 2.4645
Mg 0.3186 8.5840 3.4001
Mg 0.9396 5.4128 0.0940
Mg 1.3472 3.5536 5.5122
Mg 1.4360 8.0400 8.3684
Mg 1.9479 6.4221 2.6875
Mg 2.2315 0.6328 1.8065
Mg 2.2220 3.0097 7.7303
Mg 2.2295 6.6109 5.6977
Mg 2.4596 0.9265 5.4468
Mg 2.9825 3.5349 0.3702
Mg 3.0737 4.0278 3.5448
Mg 3.1091 8.1289 0.7018
Mg 3.0310 5.6463 8.2100
Mg 3.3052 0.4486 8.9414
Mg 3.8429 8.7810 3.4708
Mg 4.9206 1.9032 3.5073
Mg 4.9014 2.5040 6.6959
Mg 4.8101 8.4400 7.1218
Mg 5.1059 5.5672 2.1081
Mg 5.3288 0.8649 0.9358
Mg 5.6258 3.6316 9.5048
Mg 5.6166 7.3135 10.0573
Mg 6.0506 7.4835 3.8158
Mg 6.6104 0.3174 5.0025
Mg 6.7695 3.9393 3.8274
Mg 6.8357 1.1980 8.3678
Mg 6.9038 5.2944 7.3694
Mg 7.6197 9.2874 2.2061
Mg 7.8075 2.7956 6.1184
Mg 7.9114 5.9985 1.3333
Mg 8.1642 2.5108 1.0672
Mg 8.0121 7.3884 8.6721
Mg 8.5206 6.3281 4.2466
Mg 8.9782 8.7993 5.9171
Mg 9.0094 3.4098 8.8178
O -0.0742 6.2953 2.6121
O -0.0918 2.9879 6.7869
O 0.2186 7.0360 5.4726
O 0.6547 0.1992 4.8768
O 1.2427 3.1210 3.6878
O 1.1656 3.4508 9.2823
O 1.5240 9.2262 9.9928
O 1.7721 5.0008 6.7837
O 2.0224 0.9705 7.4749
O 2.1001 8.3654 2.4950
O 1.9571 6.4952 9.6291
O 2.1978 4.7611 1.7087
O 3.1120 5.9288 4.1431
O 3.0274 7.5227 7.2457
O 3.1738 2.8115 5.7467
O 3.3017 0.8137 3.5979
O 3.5574 1.7354 0.7502
O 3.8513 3.8167 8.6619
O 4.3618 8.8049 9.8456
O 4.7940 7.5408 2.1431
O 4.9132 3.7535 2.8700
O 5.0307 0.6821 7.5745
O 5.0815 8.6110 5.0864
O 6.1027 5.6385 0.3760
O 6.1565 0.4689 2.7348
O 6.1366 2.3413 5.0522
O 6.1793 7.0957 7.9315
O 6.4860 2.1882 0.1470
O 6.6637 3.3196 7.7588
O 6.8807 5.8352 3.1402
O 7.8447 8.1492 0.5336
O 7.8618 4.9039 5.5977
O 7.9515 0.6792 6.4679
O 7.9059 8.3958 4.0427
O 8.3359 2.9387 3.0407
O 8.7099 1.3864 9.2798
O 8.6934 5.5506 8.4215
O 8.9453 4.3628 0.7082
O 9.3327 8.6609 7.9893
O 9.6571 0.3894 2.0387
```

Computed properties:
* formation energy from the elements: -2738 meV/atom
* total energy: -453.466 eV/cell
* space group: No. 1

***

# 12
Here is an optimized crystal structure of Li3Nb3TeO12 from the Materials Project. Energies are from PBE-GGA.

Cell and atoms, written as extended XYZ:
```
19
Lattice="5.2082 0.0000 0.0000 -0.0009 5.5085 0.0000 -0.0304 -0.6230 7.6150" Properties=species:S:1:pos:R:3 pbc="T T T"
Li 0.0000 0.0000 0.0000
Li -0.0024 -0.2581 3.7612
Li 2.5750 2.1764 7.5986
Nb -0.0004 2.9817 1.6311
Nb 2.5894 0.2340 1.7006
Nb 2.6380 0.0111 5.4489
Te -0.0056 2.7662 5.3871
O 0.5610 3.0281 3.5103
O 0.9470 4.4573 5.7894
O 1.0139 1.4799 1.0282
O 1.5767 1.7589 5.8569
O 1.6024 4.2428 1.0076
O 1.9313 0.2150 3.4650
O 3.2032 -0.0120 7.2323
O 3.5663 2.0946 1.8220
O 3.7117 3.9797 4.8700
O 4.2471 1.1796 4.8403
O 4.2904 4.8764 1.9385
O 4.5138 2.7709 7.1928
```

Computed properties:
* formation energy from the elements: -2581 meV/atom
* total energy: -139.340 eV/cell
* space group: No. 1

***

# 13
Here is an optimized crystal structure of CsO from the Materials Project. Energies are from PBE-GGA.

Cell and atoms, written as extended XYZ:
```
8
Lattice="4.3947 0.0000 0.0000 0.0000 6.5784 0.0000 0.0000 0.0000 7.6420" Properties=species:S:1:pos:R:3 pbc="T T T"
Cs 0.0000 0.0000 1.8626
Cs 0.0000 0.0000 5.7795
Cs 2.1973 3.2892 1.9585
Cs 2.1973 3.2892 5.6836
O 0.0000 2.5304 3.8210
O 0.0000 4.0480 3.8210
O 2.1973 0.7588 0.0000
O 2.1973 5.8195 0.0000
```

Computed properties:
* formation energy from the elements: -1231 meV/atom
* total energy: -31.358 eV/cell
* space group: No. 71

***

# 14
Here is an optimized crystal structure of LuHO2 from the Materials Project. Energies are from PBE-GGA.

Cell and atoms, written as extended XYZ:
```
8
Lattice="3.3905 0.0000 0.0000 0.0000 4.7623 0.0000 0.0000 0.0000 5.3650" Properties=species:S:1:pos:R:3 pbc="T T T"
Lu 0.0000 1.0642 0.0000
Lu 1.6952 3.6981 2.6825
H 0.0000 1.4545 2.5773
H 1.6952 3.3078 5.2598
O 0.0000 0.0763 3.4405
O 0.0000 2.2943 1.9846
O 1.6952 2.4680 4.6671
O 1.6952 4.6860 0.7580
```

Computed properties:
* formation energy from the elements: -3049 meV/atom
* total energy: -57.266 eV/cell
* space group: No. 31